Entry 1:
Density functional theory data (PBE-GGA) for Mn5Al8 after structural relaxation.

Unit cell a=7.714 b=7.714 c=7.714 alpha=109.53 beta=109.53 gamma=109.53
Sites, in units of the cell vectors:
Al  0.689  0.689  0.689
Al  0.641  0.641  0.000
Al  0.673  0.047  0.279
Al  0.737  0.737  0.382
Al  0.279  0.047  0.673
Al  0.673  0.279  0.047
Al  0.047  0.673  0.279
Al  0.382  0.737  0.737
Al  0.047  0.279  0.673
Al  0.336  0.556  0.336
Al  0.279  0.673  0.047
Al  0.641  0.000  0.641
Al  0.737  0.382  0.737
Al  0.556  0.336  0.336
Al  0.000  0.641  0.641
Al  0.336  0.336  0.556
Mn  0.001  0.789  0.001
Mn  0.368  0.368  0.021
Mn  0.988  0.329  0.988
Mn  0.021  0.368  0.368
Mn  0.988  0.988  0.329
Mn  0.151  0.151  0.151
Mn  0.001  0.001  0.789
Mn  0.789  0.001  0.001
Mn  0.329  0.988  0.988
Mn  0.368  0.021  0.368

Summary:
space-group type	No. 160
calculated formation energy	-0.1970	eV/atom


Entry 2:
Density functional theory data (PBE-GGA) for Mn3Al after structural relaxation.

Unit cell a=4.042 b=4.042 c=4.042 alpha=60.00 beta=60.00 gamma=60.00
Sites, in units of the cell vectors:
Mn  0.750  0.750  0.750
Mn  0.000  0.000  0.000
Mn  0.250  0.250  0.250
Al  0.500  0.500  0.500

Summary:
space-group type	No. 225
calculated formation energy	-0.0671	eV/atom


Entry 3:
Density functional theory data (PBE-GGA) for MnAl after structural relaxation.

Unit cell a=2.948 b=2.948 c=2.948 alpha=90.00 beta=90.00 gamma=90.00
Sites, in units of the cell vectors:
Mn  0.500  0.500  0.500
Al  0.000  0.000  0.000

Summary:
space-group type	No. 221
calculated formation energy	-0.2246	eV/atom


Entry 4:
Density functional theory data (PBE-GGA) for MnAl6 after structural relaxation.

Unit cell a=4.964 b=4.964 c=8.819 alpha=90.00 beta=90.00 gamma=98.82
Sites, in units of the cell vectors:
Mn  0.457  0.457  0.250
Mn  0.543  0.543  0.750
Al  0.031  0.396  0.750
Al  0.327  0.673  0.500
Al  0.860  0.860  0.600
Al  0.969  0.604  0.250
Al  0.604  0.969  0.250
Al  0.673  0.327  0.000
Al  0.673  0.327  0.500
Al  0.860  0.860  0.900
Al  0.140  0.140  0.400
Al  0.140  0.140  0.100
Al  0.396  0.031  0.750
Al  0.327  0.673  0.000

Summary:
space-group type	No. 63
calculated formation energy	-0.1737	eV/atom


Entry 5:
Density functional theory data (PBE-GGA) for MnAl after structural relaxation.

Unit cell a=2.753 b=2.753 c=3.500 alpha=90.00 beta=90.00 gamma=90.00
Sites, in units of the cell vectors:
Mn  0.500  0.500  0.500
Al  0.000  0.000  0.000

Summary:
space-group type	No. 123
calculated formation energy	-0.2723	eV/atom


Entry 6:
Density functional theory data (PBE-GGA) for Mn4Al19 after structural relaxation.

Unit cell a=12.713 b=12.713 c=12.713 alpha=90.00 beta=90.00 gamma=90.00
Sites, in units of the cell vectors:
Mn  0.703  0.500  0.825
Mn  0.672  0.203  0.000
Mn  0.672  0.797  0.000
Mn  0.203  0.000  0.328
Mn  0.000  0.672  0.797
Mn  0.500  0.825  0.703
Mn  0.000  0.328  0.203
Mn  0.797  0.000  0.672
Mn  0.797  0.000  0.328
Mn  0.825  0.297  0.500
Mn  0.328  0.797  0.000
Mn  0.203  0.000  0.672
Mn  0.000  0.328  0.797
Mn  0.500  0.825  0.297
Mn  0.000  0.672  0.203
Mn  0.175  0.297  0.500
Mn  0.297  0.500  0.175
Mn  0.328  0.203  0.000
Mn  0.703  0.500  0.175
Mn  0.500  0.175  0.703
Mn  0.297  0.500  0.825
Mn  0.175  0.703  0.500
Mn  0.500  0.175  0.297
Mn  0.825  0.703  0.500
Al  0.388  0.315  0.806
Al  0.500  0.126  0.110
Al  0.700  0.119  0.186
Al  0.169  0.105  0.000
Al  0.396  0.500  0.329
Al  0.119  0.500  0.500
Al  0.000  0.169  0.895
Al  0.000  0.322  0.403
Al  0.194  0.388  0.315
Al  0.110  0.500  0.874
Al  0.315  0.194  0.388
Al  0.329  0.604  0.500
Al  0.388  0.685  0.806
Al  0.500  0.329  0.604
Al  0.806  0.388  0.685
Al  0.000  0.500  0.301
Al  0.500  0.874  0.890
Al  0.000  0.637  0.000
Al  0.194  0.612  0.315
Al  0.806  0.388  0.315
Al  0.388  0.685  0.194
Al  0.301  0.000  0.500
Al  0.329  0.396  0.500
Al  0.500  0.329  0.396
Al  0.700  0.119  0.814
Al  0.169  0.895  0.000
Al  0.186  0.700  0.119
Al  0.500  0.301  0.000
Al  0.700  0.881  0.814
Al  0.890  0.500  0.874
Al  0.396  0.500  0.671
Al  0.874  0.890  0.500
Al  0.685  0.194  0.388
Al  0.000  0.322  0.597
Al  0.500  0.500  0.881
Al  0.500  0.119  0.500
Al  0.881  0.814  0.700
Al  0.597  0.000  0.678
Al  0.814  0.700  0.881
Al  0.403  0.000  0.678
Al  0.671  0.396  0.500
Al  0.895  0.000  0.831
Al  0.597  0.000  0.322
Al  0.500  0.671  0.604
Al  0.806  0.612  0.315
Al  0.000  0.000  0.363
Al  0.685  0.194  0.612
Al  0.322  0.597  0.000
Al  0.000  0.831  0.105
Al  0.186  0.700  0.881
Al  0.000  0.000  0.637
Al  0.604  0.500  0.329
Al  0.831  0.895  0.000
Al  0.119  0.814  0.700
Al  0.814  0.700  0.119
Al  0.000  0.831  0.895
Al  0.000  0.363  0.000
Al  0.119  0.186  0.300
Al  0.322  0.403  0.000
Al  0.500  0.671  0.396
Al  0.500  0.881  0.500
Al  0.612  0.685  0.194
Al  0.806  0.612  0.685
Al  0.300  0.881  0.814
Al  0.315  0.194  0.612
Al  0.363  0.000  0.000
Al  0.388  0.315  0.194
Al  0.315  0.806  0.388
Al  0.881  0.186  0.300
Al  0.612  0.315  0.194
Al  0.119  0.814  0.300
Al  0.186  0.300  0.881
Al  0.814  0.300  0.119
Al  0.000  0.678  0.597
Al  0.126  0.890  0.500
Al  0.895  0.000  0.169
Al  0.678  0.597  0.000
Al  0.194  0.388  0.685
Al  0.194  0.612  0.685
Al  0.881  0.186  0.700
Al  0.300  0.119  0.814
Al  0.881  0.500  0.500
Al  0.700  0.881  0.186
Al  0.105  0.000  0.831
Al  0.126  0.110  0.500
Al  0.685  0.806  0.612
Al  0.881  0.814  0.300
Al  0.110  0.500  0.126
Al  0.890  0.500  0.126
Al  0.315  0.806  0.612
Al  0.000  0.169  0.105
Al  0.814  0.300  0.881
Al  0.300  0.119  0.186
Al  0.637  0.000  0.000
Al  0.119  0.186  0.700
Al  0.186  0.300  0.119
Al  0.403  0.000  0.322
Al  0.831  0.105  0.000
Al  0.000  0.678  0.403
Al  0.671  0.604  0.500
Al  0.500  0.126  0.890
Al  0.500  0.500  0.119
Al  0.300  0.881  0.186
Al  0.874  0.110  0.500
Al  0.000  0.500  0.699
Al  0.678  0.403  0.000
Al  0.500  0.874  0.110
Al  0.105  0.000  0.169
Al  0.612  0.315  0.806
Al  0.604  0.500  0.671
Al  0.612  0.685  0.806
Al  0.500  0.699  0.000
Al  0.685  0.806  0.388
Al  0.699  0.000  0.500

Summary:
space-group type	No. 200
calculated formation energy	-0.1857	eV/atom


Volume, respectively: 352 47 26 215 27 2055 Å³ per cell.
Final energy, respectively: -6.026 -7.875 -6.678 -4.693 -6.726 -4.873 eV per atom.